MnGaGe after structural relaxation, computed with GGA-PBE.

Results
As for the energy of formation from the pure elements: -0.12 eV/atom. As for the space group: No. 129. As for the total moment: 0.68 μB/atom. Its crystal system is tetragonal. As for the calculated total energy: -5.720 eV/atom. The value obtained for the volume is 15.34 Å³/atom.

abc: 3.9460 3.9460 5.9109
angles: 90.00 90.00 90.00
Element x y z (fractional)
Mn 0.2500 0.7500 0.0000
Mn 0.7500 0.2500 0.0000
Ga 0.2500 0.2500 0.2962
Ga 0.7500 0.7500 0.7038
Ge 0.2500 0.2500 0.7191
Ge 0.7500 0.7500 0.2809

***

LiRuN2 after structural relaxation, computed with GGA-PBE.

Results
As for the energy of formation from the pure elements: -0.10 eV/atom. As for the space group: No. 61. As for the total moment: 0.00 μB/atom. For the polymorph energy (0 for the lowest one), the calculation gives 65.3 meV per atom. Its crystal system is orthorhombic. As for the calculated total energy: -6.886 eV/atom. The value obtained for the volume is 12.76 Å³/atom.

abc: 5.3247 10.3892 14.7669
angles: 90.00 90.00 90.00
Element x y z (fractional)
Li 0.1502 0.2214 0.2035
Li 0.1502 0.2786 0.7035
Li 0.1831 0.0100 0.0637
Li 0.1831 0.4900 0.5637
Li 0.3169 0.5100 0.0637
Li 0.3169 0.9900 0.5637
Li 0.3498 0.7214 0.2035
Li 0.3498 0.7786 0.7035
Li 0.6502 0.2214 0.2965
Li 0.6502 0.2786 0.7965
Li 0.6831 0.0100 0.4363
Li 0.6831 0.4900 0.9363
Li 0.8169 0.5100 0.4363
Li 0.8169 0.9900 0.9363
Li 0.8498 0.7214 0.2965
Li 0.8498 0.7786 0.7965
Ru 0.2034 0.2214 0.4343
Ru 0.2034 0.2786 0.9343
Ru 0.2070 0.5213 0.8112
Ru 0.2070 0.9787 0.3112
Ru 0.2930 0.0213 0.8112
Ru 0.2930 0.4787 0.3112
Ru 0.2966 0.7214 0.4343
Ru 0.2966 0.7786 0.9343
Ru 0.7034 0.2214 0.0657
Ru 0.7034 0.2786 0.5657
Ru 0.7070 0.5213 0.6888
Ru 0.7070 0.9787 0.1888
Ru 0.7930 0.0213 0.6888
Ru 0.7930 0.4787 0.1888
Ru 0.7966 0.7214 0.0657
Ru 0.7966 0.7786 0.5657
N 0.0260 0.6655 0.5087
N 0.0260 0.8345 0.0087
N 0.0361 0.0697 0.4022
N 0.0361 0.4303 0.9022
N 0.0475 0.0268 0.2020
N 0.0475 0.4732 0.7020
N 0.1996 0.7014 0.8218
N 0.1996 0.7986 0.3218
N 0.3004 0.2014 0.8218
N 0.3004 0.2986 0.3218
N 0.4525 0.5268 0.2020
N 0.4525 0.9732 0.7020
N 0.4639 0.5697 0.4022
N 0.4639 0.9303 0.9022
N 0.4740 0.1655 0.5087
N 0.4740 0.3345 0.0087
N 0.5260 0.6655 0.9913
N 0.5260 0.8345 0.4913
N 0.5361 0.0697 0.0978
N 0.5361 0.4303 0.5978
N 0.5475 0.0268 0.2980
N 0.5475 0.4732 0.7980
N 0.6996 0.7014 0.6782
N 0.6996 0.7986 0.1782
N 0.8004 0.2014 0.6782
N 0.8004 0.2986 0.1782
N 0.9525 0.5268 0.2980
N 0.9525 0.9732 0.7980
N 0.9639 0.5697 0.0978
N 0.9639 0.9303 0.5978
N 0.9740 0.1655 0.9913
N 0.9740 0.3345 0.4913

***

CsSb2F7 after structural relaxation, computed with GGA-PBE.

Results
As for the energy of formation from the pure elements: -2.69 eV/atom. As for the space group: No. 15. As for the total moment: 0.00 μB/atom. For the polymorph energy (0 for the lowest one), the calculation gives 114.0 meV per atom. Its crystal system is monoclinic. As for the calculated total energy: -4.626 eV/atom. The value obtained for the volume is 22.92 Å³/atom.

abc: 9.3256 9.3256 6.9741
angles: 90.13 90.13 49.09
Element x y z (fractional)
Cs 0.2264 0.7736 0.7500
Cs 0.7736 0.2264 0.2500
Sb 0.0903 0.5539 0.2149
Sb 0.4461 0.9097 0.2851
Sb 0.5539 0.0903 0.7149
Sb 0.9097 0.4461 0.7851
F 0.0000 0.5000 0.5000
F 0.0022 0.6713 0.9491
F 0.0646 0.7679 0.3127
F 0.2321 0.9354 0.1873
F 0.3287 0.9978 0.5509
F 0.3589 0.4216 0.1484
F 0.4216 0.3589 0.6484
F 0.5000 0.0000 0.0000
F 0.5784 0.6411 0.3516
F 0.6411 0.5784 0.8516
F 0.6713 0.0022 0.4491
F 0.7679 0.0646 0.8127
F 0.9354 0.2321 0.6873
F 0.9978 0.3287 0.0509

***

ErNi after structural relaxation, computed with GGA-PBE.

Results
As for the energy of formation from the pure elements: -0.48 eV/atom. As for the space group: No. 62. Its crystal system is orthorhombic. As for the calculated total energy: -5.656 eV/atom. The value obtained for the volume is 19.28 Å³/atom.

abc: 7.0126 4.0821 5.3874
angles: 90.00 90.00 90.00
Element x y z (fractional)
Er 0.1792 0.2500 0.1303
Er 0.3208 0.7500 0.6303
Er 0.6792 0.2500 0.3697
Er 0.8208 0.7500 0.8697
Ni 0.0376 0.2500 0.6249
Ni 0.4624 0.7500 0.1249
Ni 0.5376 0.2500 0.8751
Ni 0.9624 0.7500 0.3751

***

Hf20Fe3Sb9 after structural relaxation, computed with GGA-PBE.

Results
As for the energy of formation from the pure elements: -0.50 eV/atom. As for the space group: No. 21. As for the total moment: 0.06 μB/atom. Its crystal system is orthorhombic. As for the calculated total energy: -8.621 eV/atom. The value obtained for the volume is 20.88 Å³/atom.

abc: 8.2364 8.2364 15.5364
angles: 90.00 90.00 140.66
Element x y z (fractional)
Hf 0.0951 0.3857 0.9295
Hf 0.1176 0.3841 0.5639
Hf 0.1692 0.3097 0.1451
Hf 0.1856 0.3142 0.3651
Hf 0.2498 0.7502 0.2493
Hf 0.2498 0.7502 0.7507
Hf 0.3097 0.1692 0.8549
Hf 0.3142 0.1856 0.6349
Hf 0.3841 0.1176 0.4361
Hf 0.3857 0.0951 0.0705
Hf 0.6143 0.9049 0.0705
Hf 0.6159 0.8824 0.4361
Hf 0.6858 0.8144 0.6349
Hf 0.6903 0.8308 0.8549
Hf 0.7502 0.2498 0.2493
Hf 0.7502 0.2498 0.7507
Hf 0.8144 0.6858 0.3651
Hf 0.8308 0.6903 0.1451
Hf 0.8824 0.6159 0.5639
Hf 0.9049 0.6143 0.9295
Fe 0.0000 0.0000 0.0000
Fe 0.0000 0.0000 0.5000
Fe 0.5000 0.5000 0.5000
Sb 0.0000 0.5000 0.0854
Sb 0.0000 0.5000 0.4141
Sb 0.1661 0.3372 0.7498
Sb 0.3372 0.1661 0.2502
Sb 0.5000 0.0000 0.5859
Sb 0.5000 0.0000 0.9146
Sb 0.5000 0.5000 0.0000
Sb 0.6628 0.8339 0.2502
Sb 0.8339 0.6628 0.7498

***

TbB4W after structural relaxation, computed with GGA-PBE.

Results
As for the energy of formation from the pure elements: -0.59 eV/atom. As for the space group: No. 55. Its crystal system is orthorhombic. As for the calculated total energy: -7.975 eV/atom. The value obtained for the volume is 10.72 Å³/atom.

abc: 6.0510 11.6942 3.6353
angles: 90.00 90.00 90.00
Element x y z (fractional)
Tb 0.1267 0.1498 0.0000
Tb 0.3733 0.6498 0.0000
Tb 0.6267 0.3502 0.0000
Tb 0.8733 0.8502 0.0000
B 0.0242 0.6929 0.5000
B 0.1138 0.5471 0.5000
B 0.1338 0.9678 0.5000
B 0.2139 0.8137 0.5000
B 0.2861 0.3137 0.5000
B 0.3662 0.4678 0.5000
B 0.3862 0.0471 0.5000
B 0.4758 0.1929 0.5000
B 0.5242 0.8071 0.5000
B 0.6138 0.9529 0.5000
B 0.6338 0.5322 0.5000
B 0.7139 0.6863 0.5000
B 0.7861 0.1863 0.5000
B 0.8662 0.0322 0.5000
B 0.8862 0.4529 0.5000
B 0.9758 0.3071 0.5000
W 0.1305 0.4158 0.0000
W 0.3695 0.9158 0.0000
W 0.6305 0.0842 0.0000
W 0.8695 0.5842 0.0000

***

Na2Li2CuBr2O2 after structural relaxation, computed with GGA-PBE.

Results
As for the energy of formation from the pure elements: -1.30 eV/atom. As for the space group: No. 139. As for the total moment: 0.00 μB/atom. Its crystal system is tetragonal. As for the calculated total energy: -3.780 eV/atom. The value obtained for the volume is 18.94 Å³/atom.

abc: 10.9958 10.9958 10.9958
angles: 159.01 159.01 29.85
Element x y z (fractional)
Na 0.0563 0.0563 0.0000
Na 0.9437 0.9437 0.0000
Li 0.2500 0.7500 0.5000
Li 0.7500 0.2500 0.5000
Cu 0.5000 0.5000 0.0000
Br 0.3197 0.3197 0.0000
Br 0.6803 0.6803 0.0000
O 0.0000 0.5000 0.5000
O 0.5000 0.0000 0.5000

***

Nd4In21Pd10 after structural relaxation, computed with GGA-PBE.

Results
As for the energy of formation from the pure elements: -0.53 eV/atom. As for the space group: No. 12. As for the total moment: 0.00 μB/atom. Its crystal system is monoclinic. As for the calculated total energy: -4.206 eV/atom. The value obtained for the volume is 22.02 Å³/atom.

abc: 11.9052 11.9052 17.4890
angles: 123.11 123.11 21.98
Element x y z (fractional)
Nd 0.1218 0.1218 0.3331
Nd 0.2297 0.2297 0.8262
Nd 0.7703 0.7703 0.1738
Nd 0.8782 0.8782 0.6669
In 0.0109 0.0109 0.0939
In 0.0640 0.0640 0.7971
In 0.1151 0.1151 0.5507
In 0.2019 0.2019 0.0044
In 0.2510 0.2510 0.2946
In 0.2989 0.2989 0.4995
In 0.3686 0.3686 0.8000
In 0.3842 0.3842 0.2957
In 0.3985 0.3985 0.0037
In 0.4579 0.4579 0.6322
In 0.5000 0.5000 0.5000
In 0.5421 0.5421 0.3678
In 0.6015 0.6015 0.9963
In 0.6158 0.6158 0.7043
In 0.6314 0.6314 0.2000
In 0.7011 0.7011 0.5005
In 0.7490 0.7490 0.7054
In 0.7981 0.7981 0.9956
In 0.8849 0.8849 0.4493
In 0.9360 0.9360 0.2029
In 0.9891 0.9891 0.9061
Pd 0.0252 0.0252 0.6121
Pd 0.1380 0.1380 0.1073
Pd 0.2501 0.2501 0.6146
Pd 0.3463 0.3463 0.1141
Pd 0.4942 0.4942 0.8126
Pd 0.5058 0.5058 0.1874
Pd 0.6537 0.6537 0.8859
Pd 0.7499 0.7499 0.3854
Pd 0.8620 0.8620 0.8927
Pd 0.9748 0.9748 0.3879

***

CsNaMg6O7 after structural relaxation, computed with GGA-PBE.

Results
As for the energy of formation from the pure elements: -2.07 eV/atom. As for the space group: No. 99. As for the total moment: 0.06 μB/atom. For the polymorph energy (0 for the lowest one), the calculation gives 189.1 meV per atom. Its crystal system is tetragonal. As for the calculated total energy: -4.847 eV/atom. The value obtained for the volume is 12.90 Å³/atom.

abc: 4.6116 4.6116 9.1019
angles: 90.00 90.00 90.00
Element x y z (fractional)
Cs 0.0000 0.0000 0.0000
Na 0.5000 0.5000 0.0087
Mg 0.0000 0.0000 0.5151
Mg 0.0000 0.5000 0.2925
Mg 0.0000 0.5000 0.7486
Mg 0.5000 0.0000 0.2925
Mg 0.5000 0.0000 0.7486
Mg 0.5000 0.5000 0.5173
O 0.0000 0.0000 0.2993
O 0.0000 0.5000 0.5205
O 0.0000 0.5000 0.9810
O 0.5000 0.0000 0.5205
O 0.5000 0.0000 0.9810
O 0.5000 0.5000 0.2892
O 0.5000 0.5000 0.7386

***

Pr3DyFe34 after structural relaxation, computed with GGA-PBE.

Results
As for the energy of formation from the pure elements: 0.04 eV/atom. As for the space group: No. 8. As for the total moment: 2.09 μB/atom. Its crystal system is monoclinic. As for the calculated total energy: -8.036 eV/atom. The value obtained for the volume is 13.86 Å³/atom.

abc: 6.4618 6.4618 12.8931
angles: 97.10 97.10 82.73
Element x y z (fractional)
Pr 0.0000 0.0000 0.0000
Pr 0.0015 0.0015 0.4995
Pr 0.3193 0.3193 0.8410
Dy 0.3206 0.3206 0.3401
Fe 0.0008 0.0008 0.7477
Fe 0.0011 0.5052 0.0007
Fe 0.0034 0.0034 0.2486
Fe 0.0034 0.5037 0.4984
Fe 0.1598 0.6596 0.6697
Fe 0.1606 0.6590 0.1716
Fe 0.3178 0.3178 0.0950
Fe 0.3184 0.3184 0.5912
Fe 0.3179 0.8143 0.3413
Fe 0.3182 0.8145 0.8407
Fe 0.3681 0.9529 0.1720
Fe 0.3687 0.6587 0.5235
Fe 0.3705 0.6608 0.0266
Fe 0.3711 0.9483 0.6697
Fe 0.5037 0.0034 0.4984
Fe 0.5052 0.0011 0.0007
Fe 0.5629 0.5629 0.2196
Fe 0.5638 0.5638 0.7183
Fe 0.6578 0.9521 0.3162
Fe 0.6590 0.1606 0.1716
Fe 0.6587 0.3687 0.5235
Fe 0.6587 0.6587 0.4198
Fe 0.6589 0.9490 0.8150
Fe 0.6596 0.1598 0.6697
Fe 0.6597 0.6597 0.9207
Fe 0.6608 0.3705 0.0266
Fe 0.7552 0.7552 0.6216
Fe 0.7555 0.7555 0.1232
Fe 0.8143 0.3179 0.3413
Fe 0.8145 0.3182 0.8407
Fe 0.9483 0.3711 0.6697
Fe 0.9490 0.6589 0.8150
Fe 0.9521 0.6578 0.3162
Fe 0.9529 0.3681 0.1720

***

Cs2CaO2 after structural relaxation, computed with GGA-PBE.

Results
As for the energy of formation from the pure elements: -1.94 eV/atom. As for the space group: No. 60. As for the total moment: 0.00 μB/atom. Its crystal system is orthorhombic. As for the calculated total energy: -4.406 eV/atom. The value obtained for the volume is 25.70 Å³/atom.

abc: 11.3706 6.9127 6.5397
angles: 90.00 90.00 90.00
Element x y z (fractional)
Cs 0.1582 0.1104 0.0965
Cs 0.1582 0.8896 0.5965
Cs 0.3418 0.3896 0.5965
Cs 0.3418 0.6104 0.0965
Cs 0.6582 0.3896 0.9035
Cs 0.6582 0.6104 0.4035
Cs 0.8418 0.1104 0.4035
Cs 0.8418 0.8896 0.9035
Ca 0.0000 0.4805 0.7500
Ca 0.0000 0.5195 0.2500
Ca 0.5000 0.0195 0.2500
Ca 0.5000 0.9805 0.7500
O 0.0944 0.3269 0.4872
O 0.0944 0.6731 0.9872
O 0.4056 0.1731 0.9872
O 0.4056 0.8269 0.4872
O 0.5944 0.1731 0.5128
O 0.5944 0.8269 0.0128
O 0.9056 0.3269 0.0128
O 0.9056 0.6731 0.5128

***

- What is the volume in the sixth record?
  10.72 Å³/atom

***

- Which formula does entry 3 have?
  CsSb2F7

***

- What is the formula in the eleventh record?
  Cs2CaO2